[1]
# MgCO6 | Materials Project | PBE | relaxed
# DFT formation energy: -1.10 eV per atom
data_MgCO6
_chemical_formula_sum 'Mg4 C4 O24'
_cell_length_a 6.878
_cell_length_b 5.311
_cell_length_c 13.317
_cell_angle_alpha 90.00
_cell_angle_beta 114.48
_cell_angle_gamma 90.00
_space_group_name_H-M_alt 'P 1'
_space_group_IT_number 1
_space_group_name_Hall 'P 1'
loop_
_atom_site_label
_atom_site_type_symbol
_atom_site_fract_x
_atom_site_fract_y
_atom_site_fract_z
_atom_site_occupancy
Mg1 Mg 0.099 0.088 0.353 1
Mg2 Mg 0.099 0.412 0.853 1
Mg3 Mg 0.901 0.588 0.147 1
Mg4 Mg 0.901 0.912 0.647 1
C1 C 0.153 0.642 0.402 1
C2 C 0.153 0.858 0.902 1
C3 C 0.847 0.142 0.098 1
C4 C 0.847 0.358 0.598 1
O1 O 0.067 0.721 0.297 1
O2 O 0.067 0.779 0.797 1
O3 O 0.180 0.090 0.928 1
O4 O 0.180 0.410 0.428 1
O5 O 0.203 0.677 0.973 1
O6 O 0.203 0.823 0.473 1
O7 O 0.355 0.036 0.688 1
O8 O 0.355 0.464 0.188 1
O9 O 0.368 0.213 0.178 1
O10 O 0.368 0.287 0.678 1
O11 O 0.435 0.089 0.290 1
O12 O 0.435 0.411 0.790 1
O13 O 0.565 0.589 0.210 1
O14 O 0.565 0.911 0.710 1
O15 O 0.632 0.713 0.322 1
O16 O 0.632 0.787 0.822 1
O17 O 0.645 0.536 0.812 1
O18 O 0.645 0.964 0.312 1
O19 O 0.797 0.177 0.527 1
O20 O 0.797 0.323 0.027 1
O21 O 0.820 0.590 0.572 1
O22 O 0.820 0.910 0.072 1
O23 O 0.933 0.221 0.203 1
O24 O 0.933 0.279 0.703 1

***

[2]
# Na10Nb4In4Si9S3O48 | Materials Project | PBE | relaxed
# DFT formation energy: -2.60 eV per atom
data_Na10Nb4In4Si9S3O48
_chemical_formula_sum 'Na30 Nb12 In12 Si27 S9 O144'
_cell_length_a 9.093
_cell_length_b 15.843
_cell_length_c 22.815
_cell_angle_alpha 90.34
_cell_angle_beta 90.06
_cell_angle_gamma 90.08
_space_group_name_H-M_alt 'P 1'
_space_group_IT_number 1
_space_group_name_Hall 'P 1'
loop_
_atom_site_label
_atom_site_type_symbol
_atom_site_fract_x
_atom_site_fract_y
_atom_site_fract_z
_atom_site_occupancy
Na1 Na 0.000 0.000 0.000 1
Na2 Na 0.002 0.664 0.333 1
Na3 Na 0.008 0.697 0.671 1
Na4 Na 0.013 0.034 0.337 1
Na5 Na 0.131 0.534 0.837 1
Na6 Na 0.144 0.499 0.500 1
Na7 Na 0.144 0.833 0.166 1
Na8 Na 0.152 0.165 0.836 1
Na9 Na 0.181 0.858 0.839 1
Na10 Na 0.314 0.345 0.584 1
Na11 Na 0.316 0.343 0.085 1
Na12 Na 0.321 0.015 0.416 1
Na13 Na 0.328 0.019 0.918 1
Na14 Na 0.330 0.674 0.250 1
Na15 Na 0.334 0.679 0.748 1
Na16 Na 0.491 0.166 0.336 1
Na17 Na 0.499 0.500 0.000 1
Na18 Na 0.508 0.197 0.670 1
Na19 Na 0.631 0.034 0.836 1
Na20 Na 0.636 0.334 0.167 1
Na21 Na 0.643 0.001 0.500 1
Na22 Na 0.652 0.665 0.836 1
Na23 Na 0.681 0.359 0.839 1
Na24 Na 0.808 0.513 0.419 1
Na25 Na 0.813 0.846 0.585 1
Na26 Na 0.814 0.841 0.082 1
Na27 Na 0.822 0.175 0.249 1
Na28 Na 0.828 0.519 0.918 1
Na29 Na 0.834 0.178 0.748 1
Na30 Na 0.965 0.359 0.340 1
Nb1 Nb 0.309 0.025 0.067 1
Nb2 Nb 0.310 0.352 0.736 1
Nb3 Nb 0.311 0.691 0.402 1
Nb4 Nb 0.327 0.352 0.237 1
Nb5 Nb 0.328 0.691 0.901 1
Nb6 Nb 0.338 0.024 0.567 1
Nb7 Nb 0.805 0.525 0.068 1
Nb8 Nb 0.810 0.852 0.736 1
Nb9 Nb 0.812 0.193 0.399 1
Nb10 Nb 0.828 0.192 0.900 1
Nb11 Nb 0.835 0.857 0.233 1
Nb12 Nb 0.837 0.523 0.568 1
In1 In 0.320 0.348 0.440 1
In2 In 0.320 0.684 0.107 1
In3 In 0.321 0.022 0.771 1
In4 In 0.325 0.347 0.940 1
In5 In 0.326 0.021 0.274 1
In6 In 0.330 0.687 0.607 1
In7 In 0.819 0.185 0.107 1
In8 In 0.819 0.850 0.441 1
In9 In 0.821 0.520 0.271 1
In10 In 0.821 0.522 0.771 1
In11 In 0.825 0.847 0.940 1
In12 In 0.830 0.187 0.607 1
Si1 Si 0.027 0.024 0.174 1
Si2 Si 0.028 0.690 0.508 1
Si3 Si 0.031 0.355 0.840 1
Si4 Si 0.113 0.191 0.007 1
Si5 Si 0.115 0.854 0.340 1
Si6 Si 0.122 0.519 0.673 1
Si7 Si 0.171 0.166 0.673 1
Si8 Si 0.174 0.206 0.338 1
Si9 Si 0.177 0.833 0.009 1
Si10 Si 0.180 0.500 0.340 1
Si11 Si 0.465 0.497 0.841 1
Si12 Si 0.468 0.833 0.507 1
Si13 Si 0.469 0.166 0.174 1
Si14 Si 0.469 0.206 0.837 1
Si15 Si 0.521 0.521 0.174 1
Si16 Si 0.530 0.855 0.840 1
Si17 Si 0.531 0.192 0.508 1
Si18 Si 0.612 0.359 0.340 1
Si19 Si 0.613 0.691 0.007 1
Si20 Si 0.622 0.019 0.673 1
Si21 Si 0.672 0.666 0.673 1
Si22 Si 0.675 0.997 0.341 1
Si23 Si 0.676 0.334 0.008 1
Si24 Si 0.965 0.997 0.841 1
Si25 Si 0.968 0.333 0.507 1
Si26 Si 0.968 0.665 0.175 1
Si27 Si 0.970 0.706 0.837 1
S1 S 0.171 0.540 0.004 1
S2 S 0.172 0.874 0.672 1
S3 S 0.471 0.541 0.504 1
S4 S 0.472 0.875 0.172 1
S5 S 0.671 0.040 0.004 1
S6 S 0.671 0.707 0.338 1
S7 S 0.672 0.374 0.672 1
S8 S 0.972 0.375 0.171 1
S9 S 0.973 0.040 0.504 1
O1 O 0.003 0.515 0.333 1
O2 O 0.004 0.856 0.003 1
O3 O 0.005 0.170 0.947 1
O4 O 0.006 0.834 0.280 1
O5 O 0.007 0.867 0.675 1
O6 O 0.008 0.505 0.614 1
O7 O 0.008 0.532 0.010 1
O8 O 0.010 0.867 0.394 1
O9 O 0.012 0.193 0.063 1
O10 O 0.025 0.534 0.731 1
O11 O 0.121 0.027 0.233 1
O12 O 0.122 0.696 0.567 1
O13 O 0.130 0.377 0.895 1
O14 O 0.135 0.368 0.175 1
O15 O 0.136 0.032 0.511 1
O16 O 0.137 0.003 0.115 1
O17 O 0.139 0.333 0.782 1
O18 O 0.140 0.357 0.502 1
O19 O 0.140 0.670 0.450 1
O20 O 0.141 0.010 0.833 1
O21 O 0.141 0.688 0.168 1
O22 O 0.153 0.700 0.846 1
O23 O 0.194 0.445 0.399 1
O24 O 0.198 0.116 0.734 1
O25 O 0.200 0.593 0.951 1
O26 O 0.201 0.780 0.067 1
O27 O 0.204 0.271 0.282 1
O28 O 0.209 0.763 0.346 1
O29 O 0.209 0.928 0.621 1
O30 O 0.211 0.098 0.012 1
O31 O 0.214 0.605 0.666 1
O32 O 0.218 0.934 0.332 1
O33 O 0.220 0.270 0.003 1
O34 O 0.220 0.431 0.678 1
O35 O 0.231 0.787 0.668 1
O36 O 0.232 0.910 0.727 1
O37 O 0.236 0.111 0.334 1
O38 O 0.238 0.578 0.057 1
O39 O 0.240 0.456 0.999 1
O40 O 0.250 0.781 0.950 1
O41 O 0.254 0.112 0.618 1
O42 O 0.254 0.448 0.283 1
O43 O 0.255 0.244 0.394 1
O44 O 0.259 0.595 0.347 1
O45 O 0.263 0.928 0.014 1
O46 O 0.268 0.257 0.678 1
O47 O 0.382 0.592 0.846 1
O48 O 0.382 0.927 0.513 1
O49 O 0.383 0.447 0.784 1
O50 O 0.385 0.260 0.178 1
O51 O 0.387 0.244 0.893 1
O52 O 0.393 0.780 0.449 1
O53 O 0.394 0.111 0.117 1
O54 O 0.403 0.457 0.498 1
O55 O 0.403 0.577 0.558 1
O56 O 0.404 0.790 0.167 1
O57 O 0.404 0.912 0.225 1
O58 O 0.407 0.110 0.834 1
O59 O 0.413 0.930 0.831 1
O60 O 0.417 0.601 0.167 1
O61 O 0.424 0.271 0.504 1
O62 O 0.430 0.429 0.178 1
O63 O 0.433 0.098 0.512 1
O64 O 0.434 0.764 0.846 1
O65 O 0.442 0.596 0.452 1
O66 O 0.443 0.928 0.119 1
O67 O 0.444 0.776 0.563 1
O68 O 0.445 0.269 0.779 1
O69 O 0.447 0.445 0.900 1
O70 O 0.449 0.113 0.233 1
O71 O 0.498 0.681 0.668 1
O72 O 0.503 0.017 0.335 1
O73 O 0.504 0.356 0.002 1
O74 O 0.506 0.670 0.947 1
O75 O 0.508 0.005 0.614 1
O76 O 0.508 0.032 0.010 1
O77 O 0.508 0.337 0.281 1
O78 O 0.508 0.367 0.675 1
O79 O 0.508 0.699 0.344 1
O80 O 0.512 0.694 0.063 1
O81 O 0.518 0.372 0.397 1
O82 O 0.525 0.033 0.731 1
O83 O 0.624 0.193 0.567 1
O84 O 0.626 0.530 0.229 1
O85 O 0.630 0.877 0.895 1
O86 O 0.635 0.504 0.114 1
O87 O 0.635 0.534 0.511 1
O88 O 0.635 0.866 0.178 1
O89 O 0.639 0.833 0.782 1
O90 O 0.640 0.170 0.449 1
O91 O 0.641 0.510 0.833 1
O92 O 0.641 0.855 0.501 1
O93 O 0.643 0.188 0.168 1
O94 O 0.653 0.200 0.846 1
O95 O 0.698 0.616 0.734 1
O96 O 0.699 0.093 0.951 1
O97 O 0.701 0.280 0.067 1
O98 O 0.701 0.761 0.286 1
O99 O 0.704 0.946 0.401 1
O100 O 0.708 0.265 0.345 1
O101 O 0.709 0.428 0.621 1
O102 O 0.711 0.598 0.012 1
O103 O 0.715 0.105 0.666 1
O104 O 0.720 0.770 0.002 1
O105 O 0.721 0.931 0.678 1
O106 O 0.732 0.288 0.668 1
O107 O 0.732 0.410 0.727 1
O108 O 0.738 0.078 0.057 1
O109 O 0.738 0.429 0.333 1
O110 O 0.739 0.744 0.392 1
O111 O 0.740 0.623 0.333 1
O112 O 0.740 0.956 0.999 1
O113 O 0.750 0.282 0.949 1
O114 O 0.754 0.612 0.617 1
O115 O 0.756 0.944 0.285 1
O116 O 0.763 0.428 0.013 1
O117 O 0.764 0.091 0.346 1
O118 O 0.768 0.757 0.677 1
O119 O 0.881 0.428 0.513 1
O120 O 0.881 0.760 0.180 1
O121 O 0.882 0.091 0.846 1
O122 O 0.883 0.947 0.784 1
O123 O 0.887 0.744 0.893 1
O124 O 0.893 0.611 0.118 1
O125 O 0.894 0.284 0.447 1
O126 O 0.903 0.078 0.557 1
O127 O 0.903 0.290 0.167 1
O128 O 0.905 0.956 0.500 1
O129 O 0.907 0.610 0.834 1
O130 O 0.910 0.410 0.227 1
O131 O 0.913 0.430 0.831 1
O132 O 0.917 0.101 0.167 1
O133 O 0.919 0.768 0.501 1
O134 O 0.932 0.930 0.178 1
O135 O 0.933 0.597 0.511 1
O136 O 0.934 0.264 0.846 1
O137 O 0.936 0.429 0.120 1
O138 O 0.943 0.276 0.562 1
O139 O 0.945 0.092 0.451 1
O140 O 0.945 0.769 0.779 1
O141 O 0.947 0.615 0.235 1
O142 O 0.947 0.945 0.900 1
O143 O 0.991 0.200 0.345 1
O144 O 0.998 0.181 0.668 1

***

[3]
# AsPb2S3I | Materials Project | PBE | relaxed
# DFT formation energy: -0.68 eV per atom
data_AsPb2S3I
_chemical_formula_sum 'As4 Pb8 S12 I4'
_cell_length_a 11.923
_cell_length_b 6.846
_cell_length_c 9.717
_cell_angle_alpha 90.00
_cell_angle_beta 90.00
_cell_angle_gamma 90.00
_space_group_name_H-M_alt 'P 1'
_space_group_IT_number 1
_space_group_name_Hall 'P 1'
loop_
_atom_site_label
_atom_site_type_symbol
_atom_site_fract_x
_atom_site_fract_y
_atom_site_fract_z
_atom_site_occupancy
As1 As 0.080 0.250 0.035 1
As2 As 0.420 0.750 0.535 1
As3 As 0.580 0.250 0.465 1
As4 As 0.920 0.750 0.965 1
Pb1 Pb 0.125 0.750 0.294 1
Pb2 Pb 0.178 0.750 0.777 1
Pb3 Pb 0.322 0.250 0.277 1
Pb4 Pb 0.375 0.250 0.794 1
Pb5 Pb 0.625 0.750 0.206 1
Pb6 Pb 0.678 0.750 0.723 1
Pb7 Pb 0.822 0.250 0.223 1
Pb8 Pb 0.875 0.250 0.706 1
S1 S 0.098 0.250 0.803 1
S2 S 0.205 0.005 0.081 1
S3 S 0.205 0.495 0.081 1
S4 S 0.295 0.505 0.581 1
S5 S 0.295 0.995 0.581 1
S6 S 0.402 0.750 0.303 1
S7 S 0.598 0.250 0.697 1
S8 S 0.705 0.005 0.419 1
S9 S 0.705 0.495 0.419 1
S10 S 0.795 0.505 0.919 1
S11 S 0.795 0.995 0.919 1
S12 S 0.902 0.750 0.197 1
I1 I 0.047 0.250 0.401 1
I2 I 0.453 0.750 0.901 1
I3 I 0.547 0.250 0.099 1
I4 I 0.953 0.750 0.599 1

***

[4]
# In2Pt | Materials Project | PBE | relaxed
# DFT formation energy: -0.18 eV per atom
data_In2Pt
_chemical_formula_sum 'In2 Pt1'
_cell_length_a 4.129
_cell_length_b 4.129
_cell_length_c 5.014
_cell_angle_alpha 90.15
_cell_angle_beta 90.15
_cell_angle_gamma 60.15
_space_group_name_H-M_alt 'P 1'
_space_group_IT_number 1
_space_group_name_Hall 'P 1'
loop_
_atom_site_label
_atom_site_type_symbol
_atom_site_fract_x
_atom_site_fract_y
_atom_site_fract_z
_atom_site_occupancy
In1 In 0.167 0.167 0.273 1
In2 In 0.833 0.833 0.727 1
Pt1 Pt 0.500 0.500 0.000 1